Entry 1:
This record from the Materials Project describes a relaxed UMo4PbO16 crystal. The functional is PBE with a Hubbard U.

Geometry as CIF:
```
data_UMo4PbO16
_chemical_formula_sum 'U2 Mo8 Pb2 O32'
_symmetry_space_group_name_H-M 'P 1 2/c 1'
_symmetry_Int_Tables_number 13
_cell_length_a 8.716
_cell_length_b 6.846
_cell_length_c 14.500
_cell_angle_alpha 90.00
_cell_angle_beta 126.34
_cell_angle_gamma 90.00
loop_
_symmetry_equiv_pos_as_xyz
'x,y,z'
'-x,-y,-z'
'-x,y,-z+1/2'
'x,-y,z+1/2'
loop_
_atom_site_label
_atom_site_fract_x
_atom_site_fract_y
_atom_site_fract_z
U1 0.000 0.194 0.250
Mo1 0.202 0.336 0.904
Mo2 0.295 0.337 0.594
Pb1 0.500 0.189 0.250
O1 0.000 0.444 0.750
O2 0.099 0.348 0.597
O3 0.127 0.085 0.869
O4 0.182 0.351 0.430
O5 0.206 0.198 0.246
O6 0.310 0.359 0.060
O7 0.355 0.089 0.614
O8 0.398 0.345 0.901
O9 0.500 0.424 0.750
```

Results
- DFT formation energy: -2.23 eV per atom
- Energy: -325.8 eV per cell
- V: 696.99 Å³ per cell
- Crystal system: monoclinic



Entry 2:
This record from the Materials Project describes a relaxed Li2VOF4 crystal. The functional is PBE with a Hubbard U.

Geometry as CIF:
```
data_Li2VOF4
_chemical_formula_sum 'Li8 V4 O4 F16'
_symmetry_space_group_name_H-M 'P n a 21'
_symmetry_Int_Tables_number 33
_cell_length_a 7.226
_cell_length_b 9.622
_cell_length_c 5.429
_cell_angle_alpha 90.00
_cell_angle_beta 90.00
_cell_angle_gamma 90.00
loop_
_symmetry_equiv_pos_as_xyz
'x,y,z'
'-x,-y,z+1/2'
'-x+1/2,y+1/2,z+1/2'
'x+1/2,-y+1/2,z'
loop_
_atom_site_label
_atom_site_fract_x
_atom_site_fract_y
_atom_site_fract_z
Li1 0.048 0.220 0.000
Li2 0.116 0.928 0.986
V1 0.196 0.551 0.984
O1 0.156 0.079 0.252
F1 0.023 0.505 0.296
F2 0.101 0.735 0.017
F3 0.133 0.087 0.755
F4 0.241 0.851 0.524
```

Results
- DFT formation energy: -2.97 eV per atom
- Offset from the most stable computed form: 62.1 meV per atom
- Energy: -180.1 eV per cell
- V: 377.47 Å³ per cell
- Crystal system: orthorhombic



Entry 3:
This record from the Materials Project describes a relaxed V3P4O16 crystal. The functional is PBE with a Hubbard U.

Geometry as CIF:
```
data_V3P4O16
_chemical_formula_sum 'V6 P8 O32'
_symmetry_space_group_name_H-M 'P 1 21 1'
_symmetry_Int_Tables_number 4
_cell_length_a 7.800
_cell_length_b 7.642
_cell_length_c 10.269
_cell_angle_alpha 90.00
_cell_angle_beta 94.41
_cell_angle_gamma 90.00
loop_
_symmetry_equiv_pos_as_xyz
'x,y,z'
'-x,y+1/2,-z'
loop_
_atom_site_label
_atom_site_fract_x
_atom_site_fract_y
_atom_site_fract_z
V1 0.160 0.000 0.321
V2 0.270 0.338 0.875
V3 0.272 0.393 0.367
P1 0.048 0.188 0.103
P2 0.060 0.159 0.607
P3 0.451 0.559 0.649
P4 0.459 0.531 0.126
O1 0.009 0.993 0.160
O2 0.037 0.488 0.372
O3 0.072 0.811 0.408
O4 0.096 0.810 0.911
O5 0.146 0.155 0.470
O6 0.159 0.178 0.982
O7 0.187 0.223 0.228
O8 0.200 0.202 0.713
O9 0.311 0.492 0.019
O10 0.339 0.497 0.528
O11 0.347 0.529 0.767
O12 0.347 0.545 0.256
O13 0.383 0.935 0.330
O14 0.405 0.900 0.851
O15 0.484 0.244 0.377
O16 0.486 0.227 0.893
```

Results
- DFT formation energy: -2.49 eV per atom
- Offset from the most stable computed form: 106.3 meV per atom
- Energy: -338.5 eV per cell
- V: 610.34 Å³ per cell
- Crystal system: monoclinic



Entry 4:
This record from the Materials Project describes a relaxed Li4VP2O8F2 crystal. The functional is PBE with a Hubbard U.

Geometry as CIF:
```
data_Li4VP2O8F2
_chemical_formula_sum 'Li16 V4 P8 O32 F8'
_symmetry_space_group_name_H-M 'P 1 c 1'
_symmetry_Int_Tables_number 7
_cell_length_a 6.462
_cell_length_b 10.945
_cell_length_c 10.584
_cell_angle_alpha 90.00
_cell_angle_beta 90.18
_cell_angle_gamma 90.00
loop_
_symmetry_equiv_pos_as_xyz
'x,y,z'
'x,-y,z+1/2'
loop_
_atom_site_label
_atom_site_fract_x
_atom_site_fract_y
_atom_site_fract_z
Li1 0.000 0.024 0.000
Li2 0.282 0.417 0.706
Li3 0.517 0.162 0.686
Li4 0.521 0.478 0.922
Li5 0.746 0.081 0.194
Li6 0.751 0.255 0.466
Li7 0.752 0.255 0.951
Li8 0.980 0.346 0.234
V1 0.244 0.247 0.458
V2 0.244 0.249 0.958
P1 0.006 0.493 0.994
P2 0.505 0.329 0.218
P3 0.515 0.008 0.931
P4 0.986 0.167 0.700
O1 0.013 0.200 0.845
O2 0.021 0.374 0.436
O3 0.053 0.493 0.135
O4 0.184 0.230 0.634
O5 0.188 0.417 0.924
O6 0.312 0.083 0.970
O7 0.313 0.267 0.291
O8 0.468 0.299 0.075
O9 0.476 0.125 0.483
O10 0.497 0.465 0.245
O11 0.537 0.011 0.789
O12 0.697 0.067 0.002
O13 0.703 0.265 0.264
O14 0.791 0.228 0.650
O15 0.802 0.436 0.956
O16 0.995 0.030 0.680
F1 0.026 0.134 0.422
F2 0.032 0.235 0.082
F3 0.448 0.367 0.510
F4 0.460 0.272 0.833
```

Results
- DFT formation energy: -2.77 eV per atom
- Energy: -440.1 eV per cell
- V: 748.58 Å³ per cell
- Crystal system: monoclinic



Entry 5:
This record from the Materials Project describes a relaxed Li3Fe8B8O24 crystal. The functional is PBE with a Hubbard U.

Geometry as CIF:
```
data_Li3Fe8B8O24
_chemical_formula_sum 'Li3 Fe8 B8 O24'
_symmetry_space_group_name_H-M 'P 1'
_symmetry_Int_Tables_number 1
_cell_length_a 5.312
_cell_length_b 9.036
_cell_length_c 10.136
_cell_angle_alpha 89.45
_cell_angle_beta 88.89
_cell_angle_gamma 89.53
loop_
_symmetry_equiv_pos_as_xyz
'x,y,z'
loop_
_atom_site_label
_atom_site_fract_x
_atom_site_fract_y
_atom_site_fract_z
Li1 0.000 0.000 0.000
Li2 0.199 0.507 0.248
Li3 0.505 0.523 0.509
Fe1 0.009 0.342 0.528
Fe2 0.013 0.665 0.025
Fe3 0.177 0.858 0.276
Fe4 0.198 0.182 0.777
Fe5 0.507 0.184 0.031
Fe6 0.513 0.852 0.515
Fe7 0.687 0.685 0.782
Fe8 0.700 0.346 0.274
B1 0.018 0.679 0.526
B2 0.021 0.336 0.030
B3 0.182 0.186 0.276
B4 0.189 0.843 0.773
B5 0.504 0.852 0.020
B6 0.521 0.185 0.531
B7 0.682 0.349 0.775
B8 0.684 0.677 0.285
O1 0.043 0.722 0.805
O2 0.051 0.062 0.271
O3 0.073 0.317 0.333
O4 0.105 0.983 0.801
O5 0.130 0.541 0.521
O6 0.142 0.206 0.979
O7 0.149 0.462 0.050
O8 0.154 0.803 0.493
O9 0.254 0.843 0.059
O10 0.275 0.206 0.583
O11 0.421 0.205 0.221
O12 0.430 0.821 0.718
O13 0.543 0.230 0.826
O14 0.553 0.547 0.298
O15 0.560 0.808 0.323
O16 0.585 0.487 0.765
O17 0.621 0.049 0.521
O18 0.630 0.986 0.021
O19 0.638 0.728 0.975
O20 0.649 0.314 0.495
O21 0.761 0.691 0.563
O22 0.771 0.322 0.065
O23 0.927 0.318 0.728
O24 0.934 0.679 0.241
```

Results
- DFT formation energy: -2.24 eV per atom
- Offset from the most stable computed form: 11.0 meV per atom
- Energy: -307.7 eV per cell
- V: 486.46 Å³ per cell
- Crystal system: triclinic



Entry 6:
This record from the Materials Project describes a relaxed Mn3AlO6 crystal. The functional is PBE with a Hubbard U.

Geometry as CIF:
```
data_Mn3AlO6
_chemical_formula_sum 'Mn24 Al8 O48'
_symmetry_space_group_name_H-M 'C 1 2/m 1'
_symmetry_Int_Tables_number 12
_cell_length_a 10.434
_cell_length_b 5.919
_cell_length_c 14.781
_cell_angle_alpha 90.00
_cell_angle_beta 91.79
_cell_angle_gamma 90.00
loop_
_symmetry_equiv_pos_as_xyz
'x,y,z'
'-x,-y,-z'
'-x,y,-z'
'x,-y,z'
'x+1/2,y+1/2,z'
'-x+1/2,-y+1/2,-z'
'-x+1/2,y+1/2,-z'
'x+1/2,-y+1/2,z'
loop_
_atom_site_label
_atom_site_fract_x
_atom_site_fract_y
_atom_site_fract_z
Mn1 0.000 0.000 0.000
Mn2 0.000 0.500 0.500
Mn3 0.084 0.244 0.335
Mn4 0.164 0.000 0.173
Mn5 0.169 0.500 0.667
Mn6 0.250 0.250 0.000
Al1 0.002 0.500 0.131
Al2 0.166 0.000 0.554
O1 0.001 0.500 0.749
O2 0.017 0.000 0.267
O3 0.082 0.254 0.592
O4 0.084 0.245 0.091
O5 0.163 0.000 0.944
O6 0.163 0.500 0.918
O7 0.165 0.500 0.407
O8 0.166 0.000 0.433
O9 0.236 0.216 0.261
```

Results
- DFT formation energy: -2.28 eV per atom
- Energy: -596.8 eV per cell
- V: 912.36 Å³ per cell
- Crystal system: monoclinic



Entry 7:
This record from the Materials Project describes a relaxed Na6NiO4 crystal. The functional is PBE with a Hubbard U.

Geometry as CIF:
```
data_Na6NiO4
_chemical_formula_sum 'Na24 Ni4 O16'
_symmetry_space_group_name_H-M 'P 1'
_symmetry_Int_Tables_number 1
_cell_length_a 7.652
_cell_length_b 7.654
_cell_length_c 11.817
_cell_angle_alpha 90.05
_cell_angle_beta 90.05
_cell_angle_gamma 119.94
loop_
_symmetry_equiv_pos_as_xyz
'x,y,z'
loop_
_atom_site_label
_atom_site_fract_x
_atom_site_fract_y
_atom_site_fract_z
Na1 0.000 0.000 0.000
Na2 0.000 0.000 0.499
Na3 0.001 0.575 0.000
Na4 0.002 0.575 0.499
Na5 0.141 0.858 0.750
Na6 0.142 0.859 0.250
Na7 0.320 0.256 0.333
Na8 0.320 0.640 0.333
Na9 0.321 0.641 0.833
Na10 0.322 0.256 0.833
Na11 0.395 0.788 0.584
Na12 0.396 0.180 0.584
Na13 0.396 0.791 0.085
Na14 0.398 0.179 0.084
Na15 0.575 0.575 0.499
Na16 0.576 0.576 0.000
Na17 0.716 0.860 0.251
Na18 0.717 0.433 0.250
Na19 0.717 0.859 0.750
Na20 0.718 0.434 0.749
Na21 0.782 0.178 0.084
Na22 0.784 0.179 0.582
Na23 0.929 0.252 0.834
Na24 0.932 0.254 0.334
Ni1 0.190 0.382 0.639
Ni2 0.192 0.383 0.135
Ni3 0.524 0.049 0.887
Ni4 0.524 0.050 0.389
O1 0.049 0.092 0.694
O2 0.049 0.098 0.196
O3 0.049 0.526 0.195
O4 0.052 0.533 0.693
O5 0.194 0.385 0.471
O6 0.194 0.386 0.967
O7 0.235 0.903 0.444
O8 0.235 0.905 0.946
O9 0.479 0.527 0.195
O10 0.479 0.529 0.693
O11 0.527 0.051 0.220
O12 0.533 0.055 0.719
O13 0.670 0.337 0.943
O14 0.671 0.908 0.943
O15 0.671 0.909 0.444
O16 0.674 0.339 0.443
```

Results
- DFT formation energy: -1.39 eV per atom
- Offset from the most stable computed form: 0.0 meV per atom
- Energy: -174.0 eV per cell
- V: 599.77 Å³ per cell
- Crystal system: triclinic



Entry 8:
This record from the Materials Project describes a relaxed Mg14CrSnO16 crystal. The functional is PBE with a Hubbard U.

Geometry as CIF:
```
data_Mg14CrSnO16
_chemical_formula_sum 'Mg14 Cr1 Sn1 O16'
_symmetry_space_group_name_H-M 'P 4/m m m'
_symmetry_Int_Tables_number 123
_symmetry_space_group_name_Hall '-P 4 2'
_cell_length_a 8.736
_cell_length_b 8.736
_cell_length_c 4.325
_cell_angle_alpha 90.00
_cell_angle_beta 90.00
_cell_angle_gamma 90.00
loop_
_atom_site_label
_atom_site_fract_x
_atom_site_fract_y
_atom_site_fract_z
Mg1 0.000 0.252 0.000
Mg2 0.000 0.500 0.500
Mg3 0.240 0.500 0.000
Mg4 0.246 0.246 0.500
Cr1 0.000 0.000 0.500
Sn1 0.500 0.500 0.500
O1 0.000 0.000 0.000
O2 0.000 0.256 0.500
O3 0.000 0.500 0.000
O4 0.229 0.500 0.500
O5 0.249 0.249 0.000
O6 0.500 0.500 0.000
```

Results
- DFT formation energy: -2.77 eV per atom
- Offset from the most stable computed form: 7.0 meV per atom
- Energy: -190.8 eV per cell
- V: 330.04 Å³ per cell
- Crystal system: tetragonal



Entry 9:
This record from the Materials Project describes a relaxed Li4V2Cr3Co3O16 crystal. The functional is PBE with a Hubbard U.

Geometry as CIF:
```
data_Li4V2Cr3Co3O16
_chemical_formula_sum 'Li8 V4 Cr6 Co6 O32'
_symmetry_space_group_name_H-M 'C 1 m 1'
_symmetry_Int_Tables_number 8
_cell_length_a 10.084
_cell_length_b 5.829
_cell_length_c 9.304
_cell_angle_alpha 90.00
_cell_angle_beta 90.28
_cell_angle_gamma 90.00
loop_
_symmetry_equiv_pos_as_xyz
'x,y,z'
'x,-y,z'
'x+1/2,y+1/2,z'
'x+1/2,-y+1/2,z'
loop_
_atom_site_label
_atom_site_fract_x
_atom_site_fract_y
_atom_site_fract_z
Li1 0.000 0.000 0.000
Li2 0.000 0.000 0.495
Li3 0.159 0.500 0.902
Li4 0.326 0.000 0.396
V1 0.162 0.500 0.495
V2 0.328 0.000 0.001
Cr1 0.323 0.500 0.218
Cr2 0.408 0.242 0.717
Co1 0.081 0.259 0.217
Co2 0.168 0.000 0.720
O1 0.000 0.000 0.307
O2 0.018 0.500 0.338
O3 0.080 0.264 0.593
O4 0.156 0.500 0.111
O5 0.170 0.000 0.100
O6 0.229 0.281 0.345
O7 0.254 0.219 0.850
O8 0.322 0.500 0.590
O9 0.326 0.000 0.603
O10 0.410 0.239 0.095
O11 0.472 0.000 0.849
O12 0.496 0.500 0.811
```

Results
- DFT formation energy: -2.00 eV per atom
- Energy: -372.2 eV per cell
- V: 546.87 Å³ per cell
- Crystal system: monoclinic



Among the records above, which one has the highest energy? Na6NiO4



The highest energy belongs to which entry? Na6NiO4



Which of these has the highest energy? Na6NiO4



Which formula does entry 6 have? Mn3AlO6